{
  "formula": "Na3Co5O10",
  "functional": "GGA+U",
  "state": "optimized geometry",
  "cell": [[-5.025, -2.458, 1.646], [-4.492, 5.795, -2.384], [-4.759, -2.843, -8.235]],
  "species": ["Co", "Co", "Co", "Co", "Co", "Co", "Co", "Co", "Co", "Co", "Na", "Na", "Na", "Na", "Na", "Na", "O", "O", "O", "O", "O", "O", "O", "O", "O", "O", "O", "O", "O", "O", "O", "O", "O", "O", "O", "O"],
  "fractional_positions": [[0.006, 0.394, 0.403], [0.996, 0.999, 0.504], [0.030, 0.797, 0.291], [0.002, 0.402, 0.896], [0.991, 0.598, 0.603], [0.012, 0.803, 0.798], [0.007, 0.202, 0.699], [0.997, 0.010, 0.995], [0.980, 0.599, 0.099], [0.006, 0.200, 0.197], [0.495, 0.402, 0.982], [0.505, 0.797, 0.383], [0.493, 0.398, 0.486], [0.498, 0.198, 0.283], [0.500, 0.198, 0.783], [0.495, 0.800, 0.879], [0.178, 0.404, 0.697], [0.181, 0.199, 0.501], [0.825, 0.819, 0.986], [0.187, 0.015, 0.805], [0.169, 0.796, 0.601], [0.827, 0.006, 0.697], [0.185, 0.206, 0.990], [0.826, 0.397, 0.596], [0.805, 0.396, 0.092], [0.828, 0.799, 0.500], [0.183, 0.596, 0.905], [0.822, 0.005, 0.195], [0.186, 0.586, 0.412], [0.176, 0.814, 0.093], [0.819, 0.198, 0.411], [0.822, 0.583, 0.309], [0.817, 0.593, 0.796], [0.191, 0.997, 0.319], [0.184, 0.389, 0.213], [0.825, 0.206, 0.893]],
  "crystal_system": "triclinic",
  "polymorph_energy_mev_per_atom": 50,
  "final_energy_ev_per_cell": -199.00,
  "m_tot_mub_per_cell": 4.00,
  "e_form_ev_per_atom": -1.421
}

{
  "formula": "Na6CoO4",
  "functional": "GGA+U",
  "state": "optimized geometry",
  "cell": [[7.479, 0.000, 5.475], [0.000, 7.479, 5.475], [0.000, -7.479, 5.475]],
  "species": ["Co", "Co", "Co", "Co", "O", "O", "O", "O", "O", "O", "O", "O", "O", "O", "O", "O", "O", "O", "O", "O", "Na", "Na", "Na", "Na", "Na", "Na", "Na", "Na", "Na", "Na", "Na", "Na", "Na", "Na", "Na", "Na", "Na", "Na", "Na", "Na", "Na", "Na", "Na", "Na"],
  "fractional_positions": [[0.750, 0.625, 0.375], [0.250, 0.875, 0.125], [0.250, 0.375, 0.625], [0.750, 0.125, 0.875], [0.750, 0.413, 0.408], [0.250, 0.587, 0.592], [0.250, 0.087, 0.092], [0.250, 0.342, 0.837], [0.250, 0.842, 0.337], [0.495, 0.663, 0.913], [0.995, 0.092, 0.842], [0.995, 0.592, 0.342], [0.750, 0.158, 0.663], [0.505, 0.837, 0.587], [0.750, 0.913, 0.908], [0.495, 0.163, 0.413], [0.005, 0.408, 0.658], [0.005, 0.908, 0.158], [0.750, 0.658, 0.163], [0.505, 0.337, 0.087], [0.463, 0.125, 0.162], [0.463, 0.625, 0.662], [0.463, 0.912, 0.375], [0.037, 0.338, 0.375], [0.037, 0.625, 0.088], [0.963, 0.875, 0.412], [0.250, 0.081, 0.831], [0.537, 0.588, 0.125], [0.537, 0.088, 0.625], [0.463, 0.412, 0.875], [0.750, 0.169, 0.419], [0.963, 0.162, 0.125], [0.537, 0.375, 0.338], [0.963, 0.375, 0.912], [0.963, 0.662, 0.625], [0.537, 0.875, 0.838], [0.250, 0.331, 0.081], [0.750, 0.419, 0.669], [0.037, 0.838, 0.875], [0.750, 0.919, 0.169], [0.250, 0.581, 0.331], [0.250, 0.831, 0.581], [0.037, 0.125, 0.588], [0.750, 0.669, 0.919]],
  "polymorph_energy_mev_per_atom": 26,
  "final_energy_ev_per_cell": -184.33,
  "m_tot_mub_per_cell": 0.00,
  "e_form_ev_per_atom": -1.421
}

{
  "formula": "Na10Co4O9",
  "functional": "GGA+U",
  "state": "optimized geometry",
  "cell": [[-8.316, 0.759, 1.167], [4.828, 7.024, 0.161], [2.398, -0.510, -11.218]],
  "species": ["Na", "Na", "Na", "Na", "Na", "Na", "Na", "Na", "Na", "Na", "Na", "Na", "Na", "Na", "Na", "Na", "Na", "Na", "Na", "Na", "Co", "Co", "Co", "Co", "Co", "Co", "Co", "Co", "O", "O", "O", "O", "O", "O", "O", "O", "O", "O", "O", "O", "O", "O", "O", "O", "O", "O"],
  "fractional_positions": [[0.995, 0.630, 0.856], [0.099, 0.774, 0.618], [0.845, 0.887, 0.886], [0.347, 0.420, 0.373], [0.827, 0.341, 0.629], [0.005, 0.370, 0.144], [0.173, 0.659, 0.371], [0.630, 0.838, 0.363], [0.502, 0.885, 0.608], [0.139, 0.323, 0.880], [0.370, 0.162, 0.637], [0.498, 0.115, 0.392], [0.653, 0.580, 0.627], [0.901, 0.226, 0.382], [0.861, 0.677, 0.120], [0.524, 0.425, 0.878], [0.476, 0.575, 0.122], [0.267, 0.025, 0.886], [0.733, 0.975, 0.114], [0.155, 0.113, 0.114], [0.242, 0.465, 0.651], [0.710, 0.188, 0.857], [0.576, 0.247, 0.150], [0.758, 0.535, 0.349], [0.424, 0.753, 0.850], [0.937, 0.033, 0.644], [0.063, 0.967, 0.356], [0.290, 0.812, 0.143], [0.351, 0.571, 0.538], [0.841, 0.436, 0.248], [0.649, 0.429, 0.462], [0.060, 0.157, 0.274], [0.251, 0.934, 0.473], [0.398, 0.291, 0.034], [0.310, 0.628, 0.227], [0.447, 0.968, 0.786], [0.908, 0.168, 0.972], [0.690, 0.372, 0.773], [0.159, 0.564, 0.752], [0.553, 0.032, 0.214], [0.602, 0.709, 0.966], [0.202, 0.245, 0.717], [0.798, 0.755, 0.283], [0.749, 0.066, 0.527], [0.940, 0.843, 0.726], [0.092, 0.832, 0.028]],
  "crystal_system": "triclinic",
  "final_energy_ev_per_cell": -214.79,
  "e_form_ev_per_atom": -1.476
}

{
  "formula": "NaCo2O4",
  "functional": "GGA+U",
  "state": "optimized geometry",
  "cell": [[-1.785, -3.680, -2.656], [4.765, -0.128, -3.024], [4.462, -7.466, 7.345]],
  "species": ["O", "O", "O", "O", "O", "O", "O", "O", "O", "O", "O", "O", "O", "O", "O", "O", "Co", "Co", "Co", "Co", "Co", "Co", "Co", "Co", "Na", "Na", "Na", "Na"],
  "fractional_positions": [[0.163, 0.249, 0.661], [0.163, 0.751, 0.339], [0.669, 0.500, 0.338], [0.323, 0.500, 0.835], [0.837, 0.749, 0.839], [0.163, 0.751, 0.661], [0.323, 0.500, 0.165], [0.331, 0.000, 0.162], [0.837, 0.251, 0.161], [0.163, 0.249, 0.339], [0.677, 0.000, 0.665], [0.669, 0.500, 0.662], [0.331, 0.000, 0.838], [0.837, 0.251, 0.839], [0.837, 0.749, 0.161], [0.677, 0.000, 0.335], [0.500, 0.750, 0.750], [0.003, 0.000, 0.753], [0.997, 0.500, 0.253], [0.500, 0.250, 0.250], [0.500, 0.750, 0.250], [0.997, 0.500, 0.747], [0.500, 0.250, 0.750], [0.003, 0.000, 0.247], [0.963, 0.000, 0.500], [0.037, 0.500, 0.000], [0.640, 0.000, 0.000], [0.360, 0.500, 0.500]],
  "crystal_system": "orthorhombic",
  "polymorph_energy_mev_per_atom": 0,
  "final_energy_ev_per_cell": -157.89,
  "e_form_ev_per_atom": -1.452
}